# 1
A plane-wave DFT calculation with PBE with a Hubbard U was carried out for Gd2W2O9 after structural relaxation.

Computed properties:
V   13.06 Å³/atom
VASP energy   -9.302 eV/atom
Relative energy among the computed polymorphs   0.0400 eV/atom
Total energy after the MP2020 corrections   -271.96 eV per cell
Formation energy from the elements   -2876 meV per atom

Unit cell a=6.815 b=7.195 c=7.432 alpha=69.98 beta=84.93 gamma=83.18
Atoms (fractional coordinates):
Gd  0.117  0.281  0.384
Gd  0.347  0.741  0.845
Gd  0.653  0.259  0.155
Gd  0.883  0.719  0.616
W  0.228  0.266  0.943
W  0.342  0.792  0.363
W  0.658  0.208  0.637
W  0.772  0.734  0.057
O  0.003  0.772  0.906
O  0.139  0.639  0.376
O  0.165  0.503  0.752
O  0.184  0.913  0.532
O  0.232  0.078  0.826
O  0.315  0.426  0.092
O  0.358  0.063  0.203
O  0.464  0.302  0.463
O  0.470  0.729  0.145
O  0.530  0.271  0.855
O  0.536  0.698  0.537
O  0.642  0.937  0.797
O  0.685  0.574  0.908
O  0.768  0.922  0.174
O  0.816  0.087  0.468
O  0.835  0.497  0.248
O  0.861  0.361  0.624
O  0.997  0.228  0.094

# 2
A plane-wave DFT calculation with PBE with a Hubbard U was carried out for Ba2LiSmCoCu2O7 after structural relaxation.

Computed properties:
V   13.94 Å³/atom
VASP energy   -5.949 eV/atom
Relative energy among the computed polymorphs   0.0166 eV/atom
Total energy after the MP2020 corrections   -89.73 eV per cell
Formation energy from the elements   -2095 meV per atom

Unit cell a=3.828 b=12.738 c=4.002 alpha=90.00 beta=90.00 gamma=90.00
Atoms (fractional coordinates):
Ba  0.000  0.214  0.000
Ba  0.000  0.786  0.000
Li  0.000  0.000  0.166
Sm  0.000  0.500  0.016
Co  0.500  0.000  0.577
Cu  0.500  0.379  0.514
Cu  0.500  0.621  0.514
O  0.000  0.382  0.516
O  0.000  0.618  0.516
O  0.500  0.000  0.061
O  0.500  0.145  0.547
O  0.500  0.380  0.015
O  0.500  0.620  0.015
O  0.500  0.855  0.547

# 3
A plane-wave DFT calculation with PBE with a Hubbard U was carried out for Mo2H13CN3O13 after structural relaxation.

Computed properties:
V   10.14 Å³/atom
VASP energy   -5.638 eV/atom
Total energy after the MP2020 corrections   -755.62 eV per cell
Formation energy from the elements   -767 meV per atom

Unit cell a=6.221 b=12.229 c=17.054 alpha=90.00 beta=90.00 gamma=90.00
Atoms (fractional coordinates):
Mo  0.201  0.242  0.140
Mo  0.201  0.242  0.360
Mo  0.201  0.258  0.640
Mo  0.201  0.258  0.860
Mo  0.799  0.742  0.140
Mo  0.799  0.742  0.360
Mo  0.799  0.758  0.640
Mo  0.799  0.758  0.860
H  0.104  0.605  0.544
H  0.104  0.605  0.956
H  0.104  0.895  0.044
H  0.104  0.895  0.456
H  0.115  0.637  0.250
H  0.115  0.863  0.750
H  0.218  0.509  0.250
H  0.218  0.991  0.750
H  0.253  0.595  0.750
H  0.253  0.905  0.250
H  0.292  0.506  0.552
H  0.292  0.506  0.948
H  0.292  0.994  0.052
H  0.292  0.994  0.448
H  0.336  0.625  0.597
H  0.336  0.625  0.903
H  0.336  0.875  0.097
H  0.336  0.875  0.403
H  0.346  0.619  0.002
H  0.346  0.619  0.498
H  0.346  0.881  0.502
H  0.346  0.881  0.998
H  0.350  0.609  0.201
H  0.350  0.609  0.299
H  0.350  0.891  0.701
H  0.350  0.891  0.799
H  0.650  0.109  0.201
H  0.650  0.109  0.299
H  0.650  0.391  0.701
H  0.650  0.391  0.799
H  0.654  0.119  0.002
H  0.654  0.119  0.498
H  0.654  0.381  0.502
H  0.654  0.381  0.998
H  0.664  0.125  0.597
H  0.664  0.125  0.903
H  0.664  0.375  0.097
H  0.664  0.375  0.403
H  0.708  0.006  0.552
H  0.708  0.006  0.948
H  0.708  0.494  0.052
H  0.708  0.494  0.448
H  0.747  0.095  0.750
H  0.747  0.405  0.250
H  0.782  0.009  0.250
H  0.782  0.491  0.750
H  0.885  0.137  0.250
H  0.885  0.363  0.750
H  0.896  0.105  0.544
H  0.896  0.105  0.956
H  0.896  0.395  0.044
H  0.896  0.395  0.456
C  0.401  0.645  0.750
C  0.401  0.855  0.250
C  0.599  0.145  0.750
C  0.599  0.355  0.250
N  0.257  0.591  0.250
N  0.257  0.909  0.750
N  0.269  0.589  0.547
N  0.269  0.589  0.953
N  0.269  0.911  0.047
N  0.269  0.911  0.453
N  0.731  0.089  0.547
N  0.731  0.089  0.953
N  0.731  0.411  0.047
N  0.731  0.411  0.453
N  0.743  0.091  0.250
N  0.743  0.409  0.750
O  0.028  0.682  0.102
O  0.028  0.682  0.398
O  0.028  0.818  0.602
O  0.028  0.818  0.898
O  0.102  0.107  0.661
O  0.102  0.107  0.839
O  0.102  0.393  0.161
O  0.102  0.393  0.339
O  0.143  0.208  0.250
O  0.143  0.292  0.750
O  0.186  0.116  0.581
O  0.186  0.116  0.919
O  0.186  0.384  0.081
O  0.186  0.384  0.419
O  0.410  0.117  0.138
O  0.410  0.117  0.362
O  0.410  0.383  0.638
O  0.410  0.383  0.862
O  0.423  0.182  0.066
O  0.423  0.182  0.434
O  0.423  0.318  0.566
O  0.423  0.318  0.934
O  0.477  0.671  0.683
O  0.477  0.671  0.817
O  0.477  0.829  0.183
O  0.477  0.829  0.317
O  0.523  0.171  0.683
O  0.523  0.171  0.817
O  0.523  0.329  0.183
O  0.523  0.329  0.317
O  0.577  0.682  0.066
O  0.577  0.682  0.434
O  0.577  0.818  0.566
O  0.577  0.818  0.934
O  0.590  0.617  0.138
O  0.590  0.617  0.362
O  0.590  0.883  0.638
O  0.590  0.883  0.862
O  0.814  0.616  0.581
O  0.814  0.616  0.919
O  0.814  0.884  0.081
O  0.814  0.884  0.419
O  0.857  0.708  0.250
O  0.857  0.792  0.750
O  0.898  0.607  0.661
O  0.898  0.607  0.839
O  0.898  0.893  0.161
O  0.898  0.893  0.339
O  0.972  0.182  0.102
O  0.972  0.182  0.398
O  0.972  0.318  0.602
O  0.972  0.318  0.898

# 4
A plane-wave DFT calculation with PBE with a Hubbard U was carried out for KSrPrWO6 after structural relaxation.

Computed properties:
V   15.89 Å³/atom
VASP energy   -7.003 eV/atom
Relative energy among the computed polymorphs   0.0183 eV/atom
Total energy after the MP2020 corrections   -78.59 eV per cell
Formation energy from the elements   -2837 meV per atom

Unit cell a=6.080 b=6.080 c=6.080 alpha=60.00 beta=60.00 gamma=60.00
Atoms (fractional coordinates):
K  0.000  0.000  0.000
Sr  0.500  0.500  0.500
Pr  0.250  0.250  0.250
W  0.750  0.750  0.750
O  0.523  0.523  0.977
O  0.523  0.977  0.523
O  0.523  0.977  0.977
O  0.977  0.523  0.523
O  0.977  0.523  0.977
O  0.977  0.977  0.523

# 5
A plane-wave DFT calculation with PBE with a Hubbard U was carried out for Li5Fe8B8O24 after structural relaxation.

Computed properties:
V   10.78 Å³/atom
VASP energy   -7.058 eV/atom
Relative energy among the computed polymorphs   0.0096 eV/atom
Total energy after the MP2020 corrections   -352.16 eV per cell
Formation energy from the elements   -2282 meV per atom

Unit cell a=5.258 b=9.102 c=11.345 alpha=67.05 beta=77.07 gamma=89.60
Atoms (fractional coordinates):
Li  0.000  0.000  0.000
Li  0.041  0.026  0.263
Li  0.270  0.297  0.746
Li  0.497  0.496  0.016
Li  0.760  0.791  0.757
Fe  0.049  0.383  0.232
Fe  0.257  0.600  0.469
Fe  0.281  0.977  0.724
Fe  0.494  0.177  0.985
Fe  0.561  0.869  0.229
Fe  0.753  0.105  0.474
Fe  0.785  0.468  0.729
Fe  0.997  0.685  0.982
B  0.008  0.352  0.970
B  0.052  0.723  0.223
B  0.261  0.931  0.475
B  0.285  0.636  0.728
B  0.507  0.850  0.970
B  0.541  0.212  0.227
B  0.749  0.427  0.485
B  0.794  0.143  0.725
O  0.013  0.961  0.457
O  0.044  0.141  0.739
O  0.112  0.455  0.012
O  0.131  0.221  0.961
O  0.136  0.747  0.759
O  0.167  0.525  0.692
O  0.265  0.878  0.938
O  0.271  0.690  0.279
O  0.386  0.809  0.447
O  0.391  0.024  0.520
O  0.430  0.352  0.207
O  0.434  0.096  0.194
O  0.489  0.440  0.492
O  0.545  0.626  0.733
O  0.621  0.952  0.013
O  0.632  0.254  0.758
O  0.635  0.723  0.954
O  0.690  0.036  0.683
O  0.766  0.381  0.929
O  0.775  0.182  0.273
O  0.883  0.319  0.441
O  0.887  0.519  0.530
O  0.947  0.869  0.204
O  0.953  0.614  0.185

# 6
A plane-wave DFT calculation with PBE with a Hubbard U was carried out for PrW5O15 after structural relaxation.

Computed properties:
V   14.00 Å³/atom
VASP energy   -7.475 eV/atom
Total energy after the MP2020 corrections   -189.47 eV per cell
Formation energy from the elements   -2175 meV per atom

Unit cell a=3.847 b=7.462 c=10.239 alpha=90.00 beta=90.00 gamma=90.00
Atoms (fractional coordinates):
Pr  0.000  0.000  0.000
W  0.500  0.246  0.316
W  0.500  0.246  0.684
W  0.500  0.500  0.000
W  0.500  0.754  0.316
W  0.500  0.754  0.684
O  0.000  0.237  0.313
O  0.000  0.237  0.687
O  0.000  0.500  0.000
O  0.000  0.763  0.313
O  0.000  0.763  0.687
O  0.500  0.000  0.232
O  0.500  0.000  0.768
O  0.500  0.193  0.500
O  0.500  0.303  0.124
O  0.500  0.303  0.876
O  0.500  0.500  0.349
O  0.500  0.500  0.651
O  0.500  0.697  0.124
O  0.500  0.697  0.876
O  0.500  0.807  0.500